Record 1
A plane-wave DFT calculation with r²SCAN was carried out for a geometry-optimized Cs4ZrO4 structure.

Unit cell a=19.9822 b=7.2027 c=7.1960 alpha=66.91 beta=90.00 gamma=90.00
Closest atoms and distances in Å follow each position.
Sites, in units of the cell vectors:
Cs1 0.0827 0.3418 0.7244  3 O 2.94-3.14
Cs2 0.5827 0.6582 0.7756  3 O 2.94-3.14
Cs3 0.9173 0.6582 0.2756  3 O 2.94-3.14
Cs4 0.4173 0.3418 0.2244  3 O 2.94-3.14
Cs5 0.8108 0.1835 0.3185  5 O 3.03-3.22
Cs6 0.3108 0.8165 0.1815  5 O 3.03-3.22
Cs7 0.1892 0.8165 0.6815  5 O 3.03-3.22
Cs8 0.6892 0.1835 0.8185  5 O 3.03-3.22
Cs9 0.7162 0.7004 0.3210  4 O 2.90-3.11
Cs10 0.2162 0.2996 0.1790  4 O 2.90-3.11
Cs11 0.2838 0.2996 0.6790  4 O 2.90-3.11
Cs12 0.7838 0.7004 0.8210  4 O 2.90-3.11
Cs13 0.0143 0.2201 0.2509  4 O 2.94-3.03
Cs14 0.5143 0.7799 0.2491  4 O 2.94-3.03
Cs15 0.9857 0.7799 0.7491  4 O 2.94-3.03
Cs16 0.4857 0.2201 0.7509  4 O 2.94-3.03
Zr1 0.6226 0.2548 0.2990  4 O 1.98-1.99
Zr2 0.1226 0.7452 0.2010  4 O 1.98-1.99
Zr3 0.3774 0.7452 0.7010  4 O 1.98-1.99
Zr4 0.8774 0.2548 0.7990  4 O 1.98-1.99
O1 0.0949 0.5926 0.0358  1 Zr 1.99
O2 0.5949 0.4074 0.4642  1 Zr 1.99
O3 0.9051 0.4074 0.9642  1 Zr 1.99
O4 0.4051 0.5926 0.5358  1 Zr 1.99
O5 0.8332 0.0014 0.9796  1 Zr 1.99
O6 0.3332 0.9986 0.5204  1 Zr 1.99
O7 0.1668 0.9986 0.0204  1 Zr 1.99
O8 0.6668 0.0014 0.4796  1 Zr 1.99
O9 0.9515 0.2103 0.6380  1 Zr 1.98
O10 0.4515 0.7897 0.8620  1 Zr 1.98
O11 0.0485 0.7897 0.3620  1 Zr 1.98
O12 0.5485 0.2103 0.1380  1 Zr 1.98
O13 0.8103 0.4260 0.6037  1 Zr 1.98
O14 0.3103 0.5740 0.8963  1 Zr 1.98
O15 0.1897 0.5740 0.3963  1 Zr 1.98
O16 0.6897 0.4260 0.1037  1 Zr 1.98

Summary:
SG	No. 14
ΔH_f (0 K)	-2.21	eV per atom
size of the total moment	0.00	μB per atom
total energy	-18.552	eV per atom

---

Record 2
A plane-wave DFT calculation with r²SCAN was carried out for a geometry-optimized Cs2P3 structure.

Unit cell a=6.9289 b=6.9289 c=8.9265 alpha=111.26 beta=111.26 gamma=93.78
Closest atoms and distances in Å follow each position.
Sites, in units of the cell vectors:
Cs1 0.7500 0.2500 0.5000  8 P 3.74-3.83
Cs2 0.2500 0.7500 0.5000  8 P 3.74-3.83
Cs3 0.7140 0.2860 0.0000  10 P 3.60-3.76
Cs4 0.2860 0.7140 0.0000  10 P 3.60-3.76
P1 0.7331 0.7331 0.8581  2 P 2.15
P2 0.8749 0.8749 0.1419  2 P 2.15
P3 0.2669 0.2669 0.1419  2 P 2.15
P4 0.1251 0.1251 0.8581  2 P 2.15
P5 0.8575 0.8575 0.7150  2 P 2.15
P6 0.1425 0.1425 0.2850  2 P 2.15

Summary:
SG	No. 69
ΔH_f (0 K)	-0.59	eV per atom
size of the total moment	0.00	μB per atom
total energy	-16.031	eV per atom

---

Record 3
A plane-wave DFT calculation with r²SCAN was carried out for a geometry-optimized CsP7 structure.

Unit cell a=9.3006 b=9.6935 c=9.7451 alpha=90.00 beta=90.00 gamma=90.00
Closest atoms and distances in Å follow each position.
Sites, in units of the cell vectors:
Cs1 0.7868 0.2500 0.0000  10 P 3.67-3.94
Cs2 0.2132 0.7500 0.5000  10 P 3.67-3.94
Cs3 0.2132 0.7500 0.0000  10 P 3.67-3.94
Cs4 0.7868 0.2500 0.5000  10 P 3.67-3.94
P1 0.5638 0.8382 0.7500  3 P 2.14-2.21
P2 0.4362 0.1618 0.2500  3 P 2.14-2.21
P3 0.5638 0.6618 0.2500  3 P 2.14-2.21
P4 0.4362 0.3382 0.7500  3 P 2.14-2.21
P5 0.8338 0.6304 0.6358  3 P 2.20-2.24
P6 0.1662 0.3696 0.1358  3 P 2.20-2.24
P7 0.8338 0.8696 0.3642  3 P 2.20-2.24
P8 0.1662 0.1304 0.8642  3 P 2.20-2.24
P9 0.1662 0.3696 0.3642  3 P 2.20-2.24
P10 0.8338 0.6304 0.8642  3 P 2.20-2.24
P11 0.1662 0.1304 0.6358  3 P 2.20-2.24
P12 0.8338 0.8696 0.1358  3 P 2.20-2.24
P13 0.7486 0.9691 0.7500  2 P 2.13-2.14
P14 0.2514 0.0309 0.2500  2 P 2.13-2.14
P15 0.7486 0.5309 0.2500  2 P 2.13-2.14
P16 0.2514 0.4691 0.7500  2 P 2.13-2.14
P17 0.9125 0.8156 0.7500  3 P 2.13-2.24
P18 0.0875 0.1844 0.2500  3 P 2.13-2.24
P19 0.9125 0.6844 0.2500  3 P 2.13-2.24
P20 0.0875 0.3156 0.7500  3 P 2.13-2.24
P21 0.6077 0.6813 0.9091  3 P 2.20-2.22
P22 0.3923 0.3187 0.4091  3 P 2.20-2.22
P23 0.6077 0.8187 0.0909  3 P 2.20-2.22
P24 0.3923 0.1813 0.5909  3 P 2.20-2.22
P25 0.3923 0.3187 0.0909  3 P 2.20-2.22
P26 0.6077 0.6813 0.5909  3 P 2.20-2.22
P27 0.3923 0.1813 0.9091  3 P 2.20-2.22
P28 0.6077 0.8187 0.4091  3 P 2.20-2.22

Summary:
SG	No. 57
ΔH_f (0 K)	-0.25	eV per atom
size of the total moment	0.00	μB per atom
total energy	-11.262	eV per atom

---

Record 4
A plane-wave DFT calculation with r²SCAN was carried out for a geometry-optimized CsPPbS4 structure.

Unit cell a=6.5068 b=6.8581 c=18.0784 alpha=90.00 beta=90.00 gamma=90.00
Closest atoms and distances in Å follow each position.
Sites, in units of the cell vectors:
Cs1 0.9750 0.7500 0.7909  7 S 3.52-3.69
Cs2 0.0250 0.2500 0.2091  7 S 3.52-3.69
Cs3 0.4750 0.2500 0.7091  7 S 3.52-3.69
Cs4 0.5250 0.7500 0.2909  7 S 3.52-3.69
P1 0.2186 0.2500 0.9088  4 S 2.03-2.05
P2 0.2814 0.2500 0.4088  4 S 2.03-2.05
P3 0.7186 0.7500 0.5912  4 S 2.03-2.05
P4 0.7814 0.7500 0.0912  4 S 2.03-2.05
Pb1 0.2129 0.7500 0.5173  6 S 2.91-3.16
Pb2 0.2871 0.7500 0.0173  6 S 2.91-3.16
Pb3 0.7871 0.2500 0.4827  6 S 2.91-3.16
Pb4 0.7129 0.2500 0.9827  6 S 2.91-3.16
S1 0.3943 0.4902 0.8868  1 P 2.04
S2 0.1485 0.2500 0.0193  1 P 2.05
S3 0.1057 0.4902 0.3868  1 P 2.04
S4 0.4602 0.7500 0.6542  1 P 2.03
S5 0.6057 0.9902 0.1132  1 P 2.04
S6 0.3943 0.0098 0.8868  1 P 2.04
S7 0.1057 0.0098 0.3868  1 P 2.04
S8 0.3515 0.2500 0.5193  1 P 2.05
S9 0.8515 0.7500 0.9807  1 P 2.05
S10 0.0398 0.7500 0.1542  1 P 2.03
S11 0.5398 0.2500 0.3458  1 P 2.03
S12 0.8943 0.5098 0.6132  1 P 2.04
S13 0.9602 0.2500 0.8458  1 P 2.03
S14 0.6057 0.5098 0.1132  1 P 2.04
S15 0.8943 0.9902 0.6132  1 P 2.04
S16 0.6485 0.7500 0.4807  1 P 2.05

Summary:
SG	No. 62
ΔH_f (0 K)	-0.84	eV per atom
size of the total moment	0.00	μB per atom
total energy	-18.341	eV per atom

---

Record 5
A plane-wave DFT calculation with r²SCAN was carried out for a geometry-optimized Cs2P2Pd structure.

Unit cell a=8.2636 b=8.2636 c=6.2268 alpha=90.00 beta=90.00 gamma=130.58
Closest atoms and distances in Å follow each position.
Sites, in units of the cell vectors:
Cs1 0.7874 0.2126 0.2500  2 Pd 3.55, 6 P 3.69-3.71, 2 Cs 3.97
Cs2 0.2126 0.7874 0.7500  2 Pd 3.55, 6 P 3.69-3.71, 2 Cs 3.97
Cs3 0.4172 0.5828 0.2500  6 P 3.62-3.92, 4 Cs 3.97-3.98, 4 Pd 3.99
Cs4 0.5828 0.4172 0.7500  6 P 3.62-3.92, 4 Cs 3.97-3.98, 4 Pd 3.99
P1 0.9432 0.7445 0.2500  1 P 2.16, 2 Pd 2.41
P2 0.0568 0.2555 0.7500  1 P 2.16, 2 Pd 2.41
P3 0.2555 0.0568 0.2500  1 P 2.16, 2 Pd 2.41
P4 0.7445 0.9432 0.7500  1 P 2.16, 2 Pd 2.41
Pd1 0.0000 0.0000 0.0000  4 P 2.41
Pd2 0.0000 0.0000 0.5000  4 P 2.41

Summary:
SG	No. 63
ΔH_f (0 K)	-0.64	eV per atom
size of the total moment	0.00	μB per atom
total energy	-18.872	eV per atom

---

Record 6
A plane-wave DFT calculation with r²SCAN was carried out for a geometry-optimized Cs3Zr2P5S18 structure.

Unit cell a=6.9485 b=6.9485 c=34.4019 alpha=86.69 beta=86.69 gamma=93.44
Closest atoms and distances in Å follow each position.
Sites, in units of the cell vectors:
Cs1 0.7204 0.5266 0.8639  9 S 3.62-4.00, 1 P 3.92
Cs2 0.5266 0.7204 0.3639  9 S 3.62-4.00, 1 P 3.92
Cs3 0.2262 0.0062 0.5689  7 S 3.57-3.96
Cs4 0.0062 0.2262 0.0689  7 S 3.57-3.96
Cs5 0.3408 0.0602 0.7541  8 S 3.56-3.95, 1 P 3.92
Cs6 0.0602 0.3408 0.2541  8 S 3.56-3.95, 1 P 3.92
Zr1 0.6516 0.4756 0.6540  7 S 2.60-2.74
Zr2 0.4756 0.6516 0.1540  7 S 2.60-2.74
Zr3 0.4619 0.8756 0.9640  7 S 2.60-2.74
Zr4 0.8756 0.4619 0.4640  7 S 2.60-2.74
P1 0.8430 0.3501 0.7373  4 S 1.96-2.17
P2 0.3501 0.8430 0.2373  4 S 1.96-2.17
P3 0.1981 0.5662 0.6732  4 S 2.02-2.12
P4 0.5662 0.1981 0.1732  4 S 2.02-2.12
P5 0.7381 0.4403 0.5586  4 S 2.03-2.04
P6 0.4403 0.7381 0.0586  4 S 2.03-2.04
P7 0.2527 0.8081 0.8808  4 S 1.96-2.16
P8 0.8081 0.2527 0.3808  4 S 1.96-2.16
P9 0.9258 0.9862 0.9452  4 S 2.01-2.13
P10 0.9862 0.9258 0.4452  4 S 2.01-2.13
S1 0.1179 0.5186 0.7336  2 P 2.12-2.17
S2 0.5186 0.1179 0.2336  2 P 2.12-2.17
S3 0.8395 0.2054 0.7879  1 P 1.96
S4 0.2054 0.8395 0.2879  1 P 1.96
S5 0.8244 0.1926 0.6896  1 P 2.03
S6 0.1926 0.8244 0.1896  1 P 2.03
S7 0.3013 0.3167 0.6549  1 P 2.04
S8 0.3167 0.3013 0.1549  1 P 2.04
S9 0.4184 0.7705 0.6687  1 P 2.02
S10 0.7705 0.4184 0.1687  1 P 2.02
S11 0.7329 0.2248 0.6017  1 P 2.04
S12 0.2248 0.7329 0.1017  1 P 2.04
S13 0.0078 0.5105 0.5338  1 P 2.03
S14 0.5105 0.0078 0.0338  1 P 2.03
S15 0.4814 0.9929 0.8895  1 P 2.03
S16 0.9929 0.4814 0.3895  1 P 2.03
S17 0.6424 0.5452 0.7284  1 P 2.03
S18 0.5452 0.6424 0.2284  1 P 2.03
S19 0.7271 0.1840 0.9500  1 P 2.01
S20 0.1840 0.7271 0.4500  1 P 2.01
S21 0.5814 0.3611 0.5133  1 P 2.03
S22 0.3611 0.5814 0.0133  1 P 2.03
S23 0.2521 0.6196 0.9281  1 P 2.03
S24 0.6196 0.2521 0.4281  1 P 2.03
S25 0.7958 0.7254 0.9640  1 P 2.03
S26 0.7254 0.7958 0.4640  1 P 2.03
S27 0.0703 0.1548 0.4755  1 P 2.03
S28 0.1548 0.0703 0.9755  1 P 2.03
S29 0.6249 0.6625 0.5866  1 P 2.04
S30 0.6625 0.6249 0.0866  1 P 2.04
S31 0.9840 0.6694 0.6423  1 P 2.02
S32 0.6694 0.9840 0.1423  1 P 2.02
S33 0.0019 0.9768 0.8846  2 P 2.13-2.16
S34 0.9768 0.0019 0.3846  2 P 2.13-2.16
S35 0.2378 0.6925 0.8303  1 P 1.96
S36 0.6925 0.2378 0.3303  1 P 1.96

Summary:
SG	No. 9
ΔH_f (0 K)	-0.94	eV per atom
size of the total moment	0.00	μB per atom
total energy	-12.031	eV per atom

---

Record 7
A plane-wave DFT calculation with r²SCAN was carried out for a geometry-optimized Cs4Th2P5Se17 structure.

Unit cell a=32.7652 b=10.3460 c=10.9589 alpha=83.99 beta=90.00 gamma=90.00
Closest atoms and distances in Å follow each position.
Sites, in units of the cell vectors:
Cs1 0.7330 0.6888 0.7991  9 Se 3.71-4.12
Cs2 0.2728 0.8013 0.1647  9 Se 3.59-3.97, 1 P 3.95
Cs3 0.2670 0.3112 0.2009  9 Se 3.71-4.12
Cs4 0.7670 0.6888 0.2991  9 Se 3.71-4.12
Cs5 0.7272 0.1987 0.8353  9 Se 3.59-3.97, 1 P 3.95
Cs6 0.0544 0.8225 0.6496  8 Se 3.75-4.19
Cs7 0.4456 0.8225 0.1496  8 Se 3.75-4.19
Cs8 0.5544 0.1775 0.8504  8 Se 3.75-4.19
Cs9 0.2330 0.3112 0.7009  9 Se 3.71-4.12
Cs10 0.0650 0.3026 0.7360  8 Se 3.63-3.97, 1 P 3.86
Cs11 0.7728 0.1987 0.3353  9 Se 3.59-3.97, 1 P 3.95
Cs12 0.4350 0.3026 0.2360  8 Se 3.63-3.97, 1 P 3.86
Cs13 0.9456 0.1775 0.3504  8 Se 3.75-4.19
Cs14 0.5650 0.6974 0.7640  8 Se 3.63-3.97, 1 P 3.86
Cs15 0.2272 0.8013 0.6647  9 Se 3.59-3.97, 1 P 3.95
Cs16 0.9350 0.6974 0.2640  8 Se 3.63-3.97, 1 P 3.86
Th1 0.5991 0.6486 0.2909  7 Se 2.90-3.16
Th2 0.9009 0.6486 0.7909  7 Se 2.90-3.16
Th3 0.6083 0.2097 0.3399  8 Se 2.97-3.14
Th4 0.1083 0.7903 0.1601  8 Se 2.97-3.14
Th5 0.8917 0.2097 0.8399  8 Se 2.97-3.14
Th6 0.0991 0.3514 0.2091  7 Se 2.90-3.16
Th7 0.3917 0.7903 0.6601  8 Se 2.97-3.14
Th8 0.4009 0.3514 0.7091  7 Se 2.90-3.16
P1 0.5288 0.9763 0.4479  3 Se 2.18-2.20, 1 P 2.28
P2 0.8132 0.3807 0.0024  3 Se 2.13-2.23, 1 P 2.23
P3 0.3132 0.6193 0.4976  3 Se 2.13-2.23, 1 P 2.23
P4 0.4712 0.0237 0.5521  3 Se 2.18-2.20, 1 P 2.28
P5 0.6868 0.3807 0.5024  3 Se 2.13-2.23, 1 P 2.23
P6 0.6650 0.9985 0.1368  3 Se 2.13-2.22, 1 P 2.26
P7 0.1353 0.1401 0.4819  3 Se 2.14-2.20, 1 P 2.26
P8 0.8350 0.9985 0.6368  3 Se 2.13-2.22, 1 P 2.26
P9 0.3350 0.0015 0.8632  3 Se 2.13-2.22, 1 P 2.26
P10 0.1372 0.5181 0.9051  3 Se 2.13-2.24, 1 P 2.23
P11 0.0288 0.0237 0.0521  3 Se 2.18-2.20, 1 P 2.28
P12 0.8628 0.4819 0.0949  3 Se 2.13-2.24, 1 P 2.23
P13 0.3628 0.5181 0.4051  3 Se 2.13-2.24, 1 P 2.23
P14 0.6353 0.8599 0.0181  3 Se 2.14-2.20, 1 P 2.26
P15 0.3647 0.1401 0.9819  3 Se 2.14-2.20, 1 P 2.26
P16 0.6372 0.4819 0.5949  3 Se 2.13-2.24, 1 P 2.23
P17 0.9712 0.9763 0.9479  3 Se 2.18-2.20, 1 P 2.28
P18 0.8647 0.8599 0.5181  3 Se 2.14-2.20, 1 P 2.26
P19 0.1650 0.0015 0.3632  3 Se 2.13-2.22, 1 P 2.26
P20 0.1868 0.6193 0.9976  3 Se 2.13-2.23, 1 P 2.23
Se1 0.3530 0.3138 0.4747  1 P 2.19
Se2 0.7295 0.9871 0.1165  1 P 2.13
Se3 0.3597 0.0642 0.6774  1 P 2.22
Se4 0.6390 0.1938 0.0844  1 P 2.21
Se5 0.6403 0.9358 0.3226  1 P 2.22
Se6 0.8273 0.1731 0.0358  1 P 2.19
Se7 0.2453 0.5612 0.9391  1 P 2.13
Se8 0.6400 0.4332 0.7888  1 P 2.13
Se9 0.4729 0.8919 0.7228  1 P 2.20
Se10 0.7453 0.4388 0.5609  1 P 2.13
Se11 0.1400 0.5668 0.7112  1 P 2.13
Se12 0.5795 0.0313 0.5608  1 P 2.18
Se13 0.3600 0.5668 0.2112  1 P 2.13
Se14 0.0247 0.2294 0.0776  1 P 2.18
Se15 0.8538 0.9313 0.3308  1 P 2.14
Se16 0.0201 0.4639 0.2542  1 Se 2.37
Se17 0.0271 0.8919 0.2228  1 P 2.20
Se18 0.1403 0.0642 0.1774  1 P 2.22
Se19 0.5247 0.7706 0.4224  1 P 2.18
Se20 0.2705 0.0129 0.8835  1 P 2.13
Se21 0.8600 0.4332 0.2888  1 P 2.13
Se22 0.9291 0.8390 0.5732  1 P 2.20
Se23 0.4291 0.1610 0.9268  1 P 2.20
Se24 0.1462 0.0687 0.6692  1 P 2.14
Se25 0.9753 0.7706 0.9224  1 P 2.18
Se26 0.1649 0.3217 0.4053  1 P 2.20
Se27 0.5201 0.5361 0.2458  1 Se 2.37
Se28 0.2295 0.0129 0.3835  1 P 2.13
Se29 0.5799 0.4268 0.5010  1 P 2.24
Se30 0.8351 0.6783 0.5947  1 P 2.20
Se31 0.4799 0.4639 0.7542  1 Se 2.37
Se32 0.0728 0.5743 0.3486  1 Se 2.37
Se33 0.3273 0.8269 0.4642  1 P 2.19
Se34 0.1727 0.8269 0.9642  1 P 2.19
Se35 0.8610 0.1938 0.5844  1 P 2.21
Se36 0.7705 0.9871 0.6165  1 P 2.13
Se37 0.7547 0.4388 0.0609  1 P 2.13
Se38 0.0799 0.5732 0.9990  1 P 2.24
Se39 0.8597 0.9358 0.8226  1 P 2.22
Se40 0.3610 0.8062 0.9156  1 P 2.21
Se41 0.6714 0.4321 0.3050  1 P 2.23
Se42 0.5728 0.4257 0.1514  1 Se 2.37
Se43 0.5709 0.8390 0.0732  1 P 2.20
Se44 0.1390 0.8062 0.4156  1 P 2.21
Se45 0.2547 0.5612 0.4391  1 P 2.13
Se46 0.5271 0.1081 0.2772  1 P 2.20
Se47 0.4753 0.2294 0.5776  1 P 2.18
Se48 0.6727 0.1731 0.5358  1 P 2.19
Se49 0.9799 0.5361 0.7458  1 Se 2.37
Se50 0.8286 0.4321 0.8050  1 P 2.23
Se51 0.0709 0.1610 0.4268  1 P 2.20
Se52 0.4205 0.9687 0.4392  1 P 2.18
Se53 0.3351 0.3217 0.9053  1 P 2.20
Se54 0.3286 0.5679 0.6950  1 P 2.23
Se55 0.1714 0.5679 0.1950  1 P 2.23
Se56 0.8530 0.6862 0.0253  1 P 2.19
Se57 0.9272 0.4257 0.6514  1 Se 2.37
Se58 0.9201 0.4268 0.0010  1 P 2.24
Se59 0.6470 0.6862 0.5253  1 P 2.19
Se60 0.4201 0.5732 0.4990  1 P 2.24
Se61 0.6649 0.6783 0.0947  1 P 2.20
Se62 0.1470 0.3138 0.9747  1 P 2.19
Se63 0.6462 0.9313 0.8308  1 P 2.14
Se64 0.4272 0.5743 0.8486  1 Se 2.37
Se65 0.0795 0.9687 0.9392  1 P 2.18
Se66 0.9205 0.0313 0.0608  1 P 2.18
Se67 0.9729 0.1081 0.7772  1 P 2.20
Se68 0.3538 0.0687 0.1692  1 P 2.14

Summary:
SG	No. 14
ΔH_f (0 K)	-0.97	eV per atom
size of the total moment	0.00	μB per atom
total energy	-20.103	eV per atom

---

Record 8
A plane-wave DFT calculation with r²SCAN was carried out for a geometry-optimized Cs2Pd3Se4 structure.

Unit cell a=6.4757 b=6.4757 c=7.9857 alpha=102.03 beta=102.03 gamma=119.10
Closest atoms and distances in Å follow each position.
Sites, in units of the cell vectors:
Cs1 0.6538 0.6538 0.3077  8 Se 3.76-3.90, 6 Pd 3.94-3.97
Cs2 0.3462 0.3462 0.6923  8 Se 3.76-3.90, 6 Pd 3.94-3.97
Pd1 0.0000 0.0000 0.0000  4 Se 2.47
Pd2 0.5000 0.0000 0.0000  4 Se 2.48
Pd3 0.0000 0.5000 0.0000  4 Se 2.48
Se1 0.0569 0.7213 0.7782  3 Pd 2.47-2.48
Se2 0.9431 0.2787 0.2218  3 Pd 2.47-2.48
Se3 0.2787 0.9431 0.2218  3 Pd 2.47-2.48
Se4 0.7213 0.0569 0.7782  3 Pd 2.47-2.48

Summary:
SG	No. 69
ΔH_f (0 K)	-0.86	eV per atom
size of the total moment	0.00	μB per atom
total energy	-20.457	eV per atom